1.
Here is Y3TaP2S4O24 after structural relaxation from the Materials Project database. Energies are from PBE.

Unit cell a=9.1491 b=9.1487 c=23.5671 alpha=90.04 beta=89.95 gamma=119.92
With the nearest neighbours (Å) after each atom.
Fractional positions:
1 Y 0.9972 0.9998 0.3558  6 O 2.15-2.28
2 Y 0.9952 0.0015 0.8572  6 O 2.17-2.31
3 Y 0.9916 0.9968 0.6491  6 O 2.20-2.36
4 Y 0.0015 0.0089 0.1441  6 O 2.20-2.40
5 Y 0.6664 0.3287 0.6903  6 O 2.15-2.28
6 Y 0.6718 0.3346 0.1910  6 O 2.15-2.26
7 Y 0.6724 0.3375 0.4750  6 O 2.19-2.32
8 Y 0.3322 0.6657 0.0212  6 O 2.15-2.26
9 Y 0.3305 0.6696 0.5241  6 O 2.15-2.28
10 Ta 0.6671 0.3332 0.9718  6 O 1.92-2.14
11 Ta 0.3214 0.6599 0.3139  6 O 1.88-2.10
12 Ta 0.3398 0.6725 0.8169  6 O 1.92-2.07
13 P 0.0084 0.2967 0.2516  4 O 1.51-1.62
14 P 0.6991 0.9901 0.7525  4 O 1.52-1.62
15 P 0.6144 0.6570 0.9172  4 O 1.50-1.62
16 P 0.0450 0.3875 0.9167  4 O 1.50-1.63
17 P 0.3416 0.9571 0.9171  4 O 1.50-1.62
18 P 0.0486 0.6661 0.4160  4 O 1.51-1.64
19 S 0.2905 0.9886 0.2520  4 O 1.46-1.53
20 S 0.6967 0.7096 0.2520  4 O 1.46-1.52
21 S 0.2920 0.3048 0.7528  4 O 1.46-1.53
22 S 0.0130 0.7083 0.7529  4 O 1.46-1.53
23 S 0.9561 0.3310 0.5833  4 O 1.47-1.48
24 S 0.3748 0.0461 0.5832  4 O 1.48
25 S 0.6682 0.6233 0.5832  4 O 1.47-1.49
26 S 0.9444 0.6154 0.0804  4 O 1.46-1.52
27 S 0.6682 0.0551 0.0803  4 O 1.46-1.51
28 S 0.3873 0.3306 0.0806  4 O 1.46-1.51
29 S 0.6118 0.9471 0.4143  4 O 1.46-1.52
30 S 0.3350 0.3866 0.4146  4 O 1.46-1.54
31 O 0.2126 0.0169 0.3017  1 S 1.46
32 O 0.8056 0.7865 0.3014  1 S 1.46
33 O 0.9828 0.1887 0.3034  1 P 1.51
34 O 0.2144 0.1955 0.8020  1 S 1.46
35 O 0.9841 0.7876 0.8022  1 S 1.46
36 O 0.8099 0.0174 0.8038  1 P 1.52
37 O 0.7701 0.9509 0.6992  1 P 1.54
38 O 0.1878 0.2336 0.7014  1 S 1.48
39 O 0.0479 0.8129 0.7015  1 S 1.48
40 O 0.7700 0.8145 0.2008  1 S 1.48
41 O 0.0462 0.2235 0.1984  1 P 1.54
42 O 0.1851 0.9526 0.2009  1 S 1.48
43 O 0.8767 0.3569 0.6339  1 S 1.48
44 O 0.4800 0.1269 0.6338  1 S 1.48
45 O 0.6443 0.5196 0.6340  1 S 1.47
46 O 0.8680 0.5148 0.1319  1 S 1.47
47 O 0.6445 0.1309 0.1320  1 S 1.47
48 O 0.4860 0.3531 0.1322  1 S 1.47
49 O 0.4787 0.3134 0.0297  1 S 1.51
50 O 0.8353 0.5233 0.0296  1 S 1.52
51 O 0.6868 0.1645 0.0296  1 S 1.51
52 O 0.4558 0.1484 0.5318  1 S 1.48
53 O 0.6904 0.5416 0.5319  1 S 1.49
54 O 0.8521 0.3073 0.5322  1 S 1.48
55 O 0.5362 0.6824 0.9696  1 P 1.50
56 O 0.1452 0.4644 0.9699  1 P 1.50
57 O 0.3175 0.8545 0.9695  1 P 1.50
58 O 0.5385 0.8473 0.4656  1 S 1.46
59 O 0.3112 0.4630 0.4653  1 S 1.46
60 O 0.1578 0.6909 0.4672  1 P 1.51
61 O 0.1532 0.6495 0.3623  1 P 1.64
62 O 0.5033 0.8544 0.3634  1 S 1.52
63 O 0.3538 0.4980 0.3633  1 S 1.54
64 O 0.1349 0.5061 0.8647  1 P 1.57
65 O 0.3704 0.8642 0.8648  1 P 1.59
66 O 0.4943 0.6292 0.8648  1 P 1.59
67 O 0.0329 0.8197 0.4033  1 P 1.51
68 O 0.7794 0.9671 0.4057  1 S 1.46
69 O 0.1871 0.2208 0.4052  1 S 1.46
70 O 0.0102 0.2112 0.9054  1 P 1.50
71 O 0.2017 0.9918 0.9033  1 P 1.50
72 O 0.7905 0.7961 0.9048  1 P 1.50
73 O 0.9750 0.1809 0.5907  1 S 1.48
74 O 0.2059 0.0264 0.5913  1 S 1.48
75 O 0.8199 0.7916 0.5900  1 S 1.48
76 O 0.9573 0.7821 0.0862  1 S 1.48
77 O 0.8223 0.0417 0.0855  1 S 1.48
78 O 0.2203 0.1756 0.0854  1 S 1.48
79 O 0.6659 0.1356 0.7427  1 P 1.52
80 O 0.4631 0.3331 0.7436  1 S 1.47
81 O 0.8685 0.5386 0.7437  1 S 1.47
82 O 0.6697 0.5387 0.2432  1 S 1.47
83 O 0.8636 0.3309 0.2423  1 P 1.52
84 O 0.4607 0.1325 0.2433  1 S 1.47
85 O 0.6282 0.4896 0.9288  1 P 1.62
86 O 0.8613 0.3703 0.9292  1 P 1.63
87 O 0.5090 0.1382 0.9289  1 P 1.62
88 O 0.6225 0.1124 0.4181  1 S 1.47
89 O 0.4891 0.3752 0.4173  1 S 1.47
90 O 0.8789 0.5037 0.4183  1 P 1.52
91 O 0.3661 0.4780 0.0734  1 S 1.46
92 O 0.1122 0.6347 0.0732  1 S 1.46
93 O 0.5207 0.8873 0.0730  1 S 1.46
94 O 0.3587 0.8779 0.5771  1 S 1.48
95 O 0.5189 0.6428 0.5758  1 S 1.47
96 O 0.1246 0.4805 0.5764  1 S 1.47
97 O 0.3123 0.8361 0.2641  1 S 1.53
98 O 0.5259 0.6916 0.2645  1 S 1.52
99 O 0.1707 0.4789 0.2662  1 P 1.62
100 O 0.3085 0.4761 0.7654  1 S 1.53
101 O 0.1666 0.6895 0.7654  1 S 1.53
102 O 0.5182 0.8276 0.7684  1 P 1.62

Values from the calculation:
* M_tot: 0.00 μB/f.u.
* calculated formation energy: -63.70 kcal/mol of atoms
* crystal system: triclinic
* energy with MP2020 corrections: -0.5865 Ry/atom

2.
Here is Nd4Os6O19 after structural relaxation from the Materials Project database. Energies are from PBE.

Unit cell a=7.8808 b=7.8808 c=7.8808 alpha=109.47 beta=109.47 gamma=109.47
With the nearest neighbours (Å) after each atom.
Fractional positions:
1 Nd 0.0000 0.0000 0.3080  7 O 2.43-2.53
2 Nd 0.0000 0.3080 0.0000  7 O 2.43-2.53
3 Nd 0.6920 0.6920 0.6920  7 O 2.43-2.53
4 Nd 0.3080 0.0000 0.0000  7 O 2.43-2.53
5 Os 0.3623 0.5000 0.8623  6 O 1.96-2.05
6 Os 0.8623 0.3623 0.5000  6 O 1.96-2.05
7 Os 0.5000 0.1377 0.6377  6 O 1.96-2.05
8 Os 0.1377 0.6377 0.5000  6 O 1.96-2.05
9 Os 0.5000 0.8623 0.3623  6 O 1.96-2.05
10 Os 0.6377 0.5000 0.1377  6 O 1.96-2.05
11 O 0.3216 0.0000 0.3216  2 Os 2.05
12 O 0.3216 0.3216 0.0000  2 Os 2.05
13 O 0.0000 0.6784 0.6784  2 Os 2.05
14 O 0.6784 0.6784 0.0000  2 Os 2.05
15 O 0.0000 0.3216 0.3216  2 Os 2.05
16 O 0.6784 0.0000 0.6784  2 Os 2.05
17 O 0.0000 0.0000 0.0000  4 Nd 2.43
18 O 0.3474 0.2889 0.6242  2 Os 1.96-1.99
19 O 0.0585 0.3353 0.7111  2 Os 1.96-1.99
20 O 0.7232 0.3758 0.6647  2 Os 1.96-1.99
21 O 0.3758 0.6647 0.7232  2 Os 1.96-1.99
22 O 0.2768 0.9415 0.6526  2 Os 1.96-1.99
23 O 0.6242 0.3474 0.2889  2 Os 1.96-1.99
24 O 0.2889 0.6242 0.3474  2 Os 1.96-1.99
25 O 0.7111 0.0585 0.3353  2 Os 1.96-1.99
26 O 0.9415 0.6526 0.2768  2 Os 1.96-1.99
27 O 0.6647 0.7232 0.3758  2 Os 1.96-1.99
28 O 0.6526 0.2768 0.9415  2 Os 1.96-1.99
29 O 0.3353 0.7111 0.0585  2 Os 1.96-1.99

Values from the calculation:
* calculated formation energy: -52.11 kcal/mol of atoms
* crystal system: cubic
* energy with MP2020 corrections: -0.6234 Ry/atom

3.
Here is Lu3Ga8Ir3 after structural relaxation from the Materials Project database. Energies are from PBE.

Unit cell a=8.1111 b=8.1111 c=8.1111 alpha=150.26 beta=104.32 gamma=83.36
With the nearest neighbours (Å) after each atom.
Fractional positions:
1 Lu 0.5000 0.5000 0.0000  12 Ga 3.14-3.26
2 Lu 0.1702 0.1702 0.0000  4 Ir 2.93-2.95, 8 Ga 3.01-3.15
3 Lu 0.8298 0.8298 0.0000  4 Ir 2.93-2.95, 8 Ga 3.01-3.15
4 Ga 0.6613 0.3729 0.2883  3 Ir 2.59-2.61, 3 Ga 2.67
5 Ga 0.3387 0.6271 0.7117  3 Ir 2.59-2.61, 3 Ga 2.67
6 Ga 0.0846 0.3729 0.7117  3 Ir 2.59-2.61, 3 Ga 2.67
7 Ga 0.9154 0.6271 0.2883  3 Ir 2.59-2.61, 3 Ga 2.67
8 Ga 0.5375 0.1641 0.3734  4 Ga 2.52-2.67, 1 Ir 2.56
9 Ga 0.4625 0.8359 0.6266  4 Ga 2.52-2.67, 1 Ir 2.56
10 Ga 0.7908 0.1641 0.6266  4 Ga 2.52-2.67, 1 Ir 2.56
11 Ga 0.2092 0.8359 0.3734  4 Ga 2.52-2.67, 1 Ir 2.56
12 Ir 0.0000 0.5000 0.5000  4 Ga 2.61
13 Ir 0.2120 0.0000 0.2120  6 Ga 2.56-2.59
14 Ir 0.7880 0.0000 0.7880  6 Ga 2.56-2.59

Values from the calculation:
* calculated formation energy: -14.48 kcal/mol of atoms
* crystal system: orthorhombic

4.
Here is SbRhO4 after structural relaxation from the Materials Project database. Energies are from PBE.

Unit cell a=5.6673 b=5.6673 c=5.6673 alpha=108.23 beta=108.23 gamma=111.98
With the nearest neighbours (Å) after each atom.
Fractional positions:
1 Sb 0.2532 0.7532 0.5000  6 O 2.00-2.05
2 Sb 0.0032 0.0032 0.0000  6 O 2.00-2.05
3 Rh 0.7463 0.2463 0.5000  6 O 2.04-2.07
4 Rh 0.4963 0.4963 0.0000  6 O 2.04-2.07
5 O 0.9452 0.7539 0.1914  2 Sb 2.03-2.05, 1 Rh 2.07
6 O 0.4390 0.2464 0.1926  1 Sb 2.00, 2 Rh 2.04
7 O 0.4964 0.8038 0.3074  1 Sb 2.00, 2 Rh 2.04
8 O 0.0039 0.3125 0.3086  2 Sb 2.03-2.05, 1 Rh 2.07
9 O 0.4964 0.1890 0.6926  1 Sb 2.00, 2 Rh 2.04
10 O 0.0039 0.6952 0.6914  2 Sb 2.03-2.05, 1 Rh 2.07
11 O 0.0538 0.2464 0.8074  1 Sb 2.00, 2 Rh 2.04
12 O 0.5625 0.7539 0.8086  2 Sb 2.03-2.05, 1 Rh 2.07

Values from the calculation:
* calculated formation energy: -36.09 kcal/mol of atoms
* crystal system: tetragonal
* energy with MP2020 corrections: -0.4983 Ry/atom